No. 1
Ca4Ti3O10 (PBE-GGA, optimized geometry); ΔE_f = -3.53 eV/atom; VASP energy = -7.897 eV/atom; total moment = 0.00 μB per formula unit
1.0
5.4447 0.0000 0.0000
0.0000 5.5279 0.0000
0.0000 0.0000 27.1789
Ca Ti O
16 12 40
direct
0.0055 0.0402 0.0694
0.0055 0.4598 0.5694
0.0071 0.5459 0.7052
0.0071 0.9541 0.2052
0.4929 0.0459 0.7052
0.4929 0.4541 0.2052
0.4945 0.5402 0.0694
0.4945 0.9598 0.5694
0.5055 0.0402 0.4306
0.5055 0.4598 0.9306
0.5071 0.5459 0.7948
0.5071 0.9541 0.2948
0.9929 0.0459 0.7948
0.9929 0.4541 0.2948
0.9945 0.5402 0.4306
0.9945 0.9598 0.9306
0.0000 0.0000 0.5000
0.0000 0.5000 0.0000
0.0017 0.0133 0.6426
0.0017 0.4867 0.1426
0.4983 0.5133 0.6426
0.4983 0.9867 0.1426
0.5000 0.0000 0.0000
0.5000 0.5000 0.5000
0.5017 0.0133 0.8574
0.5017 0.4867 0.3574
0.9983 0.5133 0.8574
0.9983 0.9867 0.3574
0.0687 0.5231 0.2125
0.0687 0.9769 0.7125
0.0755 0.5180 0.9294
0.0755 0.9820 0.4294
0.2090 0.7135 0.3478
0.2090 0.7865 0.8478
0.2099 0.7044 0.6306
0.2097 0.7099 0.5111
0.2097 0.7901 0.0111
0.2099 0.7956 0.1306
0.2901 0.2044 0.6306
0.2903 0.2099 0.5111
0.2903 0.2901 0.0111
0.2901 0.2956 0.1306
0.2910 0.2135 0.3478
0.2910 0.2865 0.8478
0.4245 0.0180 0.9294
0.4245 0.4820 0.4294
0.4313 0.0231 0.2125
0.4313 0.4769 0.7125
0.5687 0.5231 0.2875
0.5687 0.9769 0.7875
0.5755 0.5180 0.5706
0.5755 0.9820 0.0706
0.7090 0.7135 0.1522
0.7090 0.7865 0.6522
0.7099 0.7044 0.8694
0.7097 0.7099 0.9889
0.7097 0.7901 0.4889
0.7099 0.7956 0.3694
0.7901 0.2044 0.8694
0.7903 0.2099 0.9889
0.7903 0.2901 0.4889
0.7901 0.2956 0.3694
0.7910 0.2135 0.1522
0.7910 0.2865 0.6522
0.9245 0.0180 0.5706
0.9245 0.4820 0.0706
0.9313 0.0231 0.2875
0.9313 0.4769 0.7875

No. 2
LiMg6BO7 (PBE-GGA, optimized geometry); ΔE_f = -2.37 eV/atom; VASP energy = -5.574 eV/atom; total moment = 0.00 μB per formula unit
1.0
4.1824 0.0000 0.0000
0.0000 4.1824 0.0000
0.0000 0.0000 8.4719
Li Mg B O
1 6 1 7
direct
0.0000 0.0000 0.0000
0.0000 0.0000 0.5023
0.0000 0.5000 0.2281
0.0000 0.5000 0.7684
0.5000 0.0000 0.2281
0.5000 0.0000 0.7684
0.5000 0.5000 0.4943
0.5000 0.5000 0.9809
0.0000 0.0000 0.2587
0.0000 0.0000 0.7448
0.0000 0.5000 0.0004
0.0000 0.5000 0.5084
0.5000 0.0000 0.0004
0.5000 0.0000 0.5084
0.5000 0.5000 0.8100